[1]
# Li5V3P8O29 (GGA+U, relaxed)
data_Li5V3P8O29
_chemical_formula_sum 'Li10 V6 P16 O58'
_symmetry_space_group_name_H-M 'P 1'
_symmetry_Int_Tables_number 1
_symmetry_space_group_name_Hall 'P 1'
_cell_length_a 9.782
_cell_length_b 9.826
_cell_length_c 14.121
_cell_angle_alpha 89.74
_cell_angle_beta 89.69
_cell_angle_gamma 60.21
loop_
_atom_site_label
_atom_site_fract_x
_atom_site_fract_y
_atom_site_fract_z
_atom_site_occupancy
Li1 0.000 0.000 0.000 1
Li2 0.004 0.437 0.050 1
Li3 0.018 0.562 0.550 1
Li4 0.111 0.241 0.671 1
Li5 0.246 0.654 0.672 1
Li6 0.331 0.337 0.107 1
Li7 0.431 0.013 0.554 1
Li8 0.439 0.569 0.049 1
Li9 0.566 0.419 0.548 1
Li10 0.570 0.002 0.047 1
V1 0.336 0.902 0.355 1
V2 0.342 0.766 0.860 1
V3 0.770 0.902 0.858 1
V4 0.771 0.333 0.358 1
V5 0.903 0.772 0.355 1
V6 0.904 0.337 0.860 1
P1 0.004 0.002 0.239 1
P2 0.008 0.999 0.740 1
P3 0.017 0.570 0.766 1
P4 0.025 0.424 0.267 1
P5 0.108 0.246 0.448 1
P6 0.115 0.645 0.949 1
P7 0.247 0.655 0.450 1
P8 0.248 0.112 0.949 1
P9 0.424 0.018 0.767 1
P10 0.426 0.562 0.268 1
P11 0.565 0.023 0.265 1
P12 0.571 0.421 0.766 1
P13 0.645 0.248 0.950 1
P14 0.653 0.105 0.449 1
P15 0.668 0.670 0.478 1
P16 0.675 0.669 0.982 1
O1 0.006 0.996 0.634 1
O2 0.007 0.416 0.770 1
O3 0.008 0.850 0.283 1
O4 0.010 0.148 0.779 1
O5 0.015 0.991 0.134 1
O6 0.077 0.255 0.950 1
O7 0.080 0.676 0.450 1
O8 0.092 0.579 0.675 1
O9 0.099 0.333 0.538 1
O10 0.114 0.358 0.177 1
O11 0.129 0.538 0.029 1
O12 0.134 0.554 0.851 1
O13 0.135 0.331 0.358 1
O14 0.155 0.999 0.283 1
O15 0.157 0.845 0.778 1
O16 0.233 0.963 0.942 1
O17 0.241 0.813 0.431 1
O18 0.254 0.078 0.448 1
O19 0.259 0.674 0.949 1
O20 0.321 0.134 0.851 1
O21 0.332 0.547 0.358 1
O22 0.336 0.086 0.676 1
O23 0.336 0.577 0.538 1
O24 0.342 0.122 0.029 1
O25 0.351 0.557 0.177 1
O26 0.423 0.586 0.773 1
O27 0.424 0.992 0.279 1
O28 0.427 0.718 0.283 1
O29 0.431 0.859 0.790 1
O30 0.517 0.818 0.434 1
O31 0.529 0.661 0.944 1
O32 0.540 0.346 0.029 1
O33 0.551 0.132 0.352 1
O34 0.554 0.100 0.173 1
O35 0.554 0.321 0.851 1
O36 0.566 0.092 0.531 1
O37 0.583 0.346 0.673 1
O38 0.588 0.997 0.772 1
O39 0.594 0.423 0.279 1
O40 0.667 0.520 0.442 1
O41 0.667 0.681 0.583 1
O42 0.669 0.821 0.939 1
O43 0.671 0.080 0.952 1
O44 0.674 0.678 0.088 1
O45 0.676 0.249 0.450 1
O46 0.721 0.431 0.791 1
O47 0.721 0.864 0.280 1
O48 0.810 0.235 0.942 1
O49 0.813 0.953 0.429 1
O50 0.817 0.672 0.434 1
O51 0.828 0.523 0.944 1
O52 0.856 0.713 0.784 1
O53 0.858 0.144 0.280 1
O54 0.864 0.996 0.789 1
O55 0.870 0.424 0.279 1
O56 0.956 0.239 0.431 1
O57 0.964 0.808 0.945 1
O58 0.997 0.594 0.282 1
# formation energy	-2.620	eV per atom
# polymorph energy (0 for the lowest one)	1	meV/atom
# crystal system	triclinic
# SG	P1 (1)
# theoretical density	2.5	g cm⁻³

***

[2]
# Li3VP2O8 (GGA+U, relaxed)
data_Li3VP2O8
_chemical_formula_sum 'Li3 V1 P2 O8'
_symmetry_space_group_name_H-M 'P 1'
_symmetry_Int_Tables_number 1
_symmetry_space_group_name_Hall 'P 1'
_cell_length_a 4.918
_cell_length_b 4.918
_cell_length_c 6.276
_cell_angle_alpha 90.35
_cell_angle_beta 90.35
_cell_angle_gamma 67.55
loop_
_atom_site_label
_atom_site_fract_x
_atom_site_fract_y
_atom_site_fract_z
_atom_site_occupancy
Li1 0.000 0.000 0.000 1
Li2 0.325 0.325 0.773 1
Li3 0.675 0.675 0.227 1
V1 0.000 0.000 0.500 1
P1 0.350 0.350 0.263 1
P2 0.650 0.650 0.737 1
O1 0.237 0.696 0.271 1
O2 0.240 0.240 0.467 1
O3 0.246 0.246 0.063 1
O4 0.304 0.763 0.729 1
O5 0.696 0.237 0.271 1
O6 0.754 0.754 0.937 1
O7 0.760 0.760 0.533 1
O8 0.763 0.304 0.729 1
# formation energy	-2.709	eV per atom
# polymorph energy (0 for the lowest one)	0	meV/atom
# crystal system	monoclinic
# SG	C2/m (12)
# theoretical density	3.1	g cm⁻³

***

[3]
# Li5V3P8O29 (GGA+U, relaxed)
data_Li5V3P8O29
_chemical_formula_sum 'Li10 V6 P16 O58'
_symmetry_space_group_name_H-M 'P 1'
_symmetry_Int_Tables_number 1
_symmetry_space_group_name_Hall 'P 1'
_cell_length_a 9.809
_cell_length_b 9.813
_cell_length_c 13.963
_cell_angle_alpha 89.74
_cell_angle_beta 89.71
_cell_angle_gamma 60.18
loop_
_atom_site_label
_atom_site_fract_x
_atom_site_fract_y
_atom_site_fract_z
_atom_site_occupancy
Li1 0.000 0.000 0.000 1
Li2 0.002 0.584 0.498 1
Li3 0.131 0.999 0.497 1
Li4 0.139 0.449 0.999 1
Li5 0.320 0.359 0.378 1
Li6 0.325 0.903 0.879 1
Li7 0.455 0.762 0.378 1
Li8 0.553 0.578 0.998 1
Li9 0.566 0.009 0.554 1
Li10 0.905 0.770 0.879 1
V1 0.228 0.108 0.691 1
V2 0.228 0.244 0.187 1
V3 0.658 0.250 0.689 1
V4 0.663 0.673 0.191 1
V5 0.794 0.110 0.193 1
V6 0.798 0.676 0.689 1
P1 0.139 0.996 0.279 1
P2 0.142 0.444 0.782 1
P3 0.319 0.356 0.598 1
P4 0.319 0.906 0.097 1
P5 0.458 0.767 0.595 1
P6 0.461 0.359 0.095 1
P7 0.543 0.444 0.282 1
P8 0.547 0.589 0.778 1
P9 0.559 0.010 0.312 1
P10 0.565 0.009 0.812 1
P11 0.895 0.341 0.065 1
P12 0.898 0.340 0.565 1
P13 0.909 0.766 0.098 1
P14 0.911 0.908 0.596 1
P15 0.994 0.994 0.782 1
P16 0.998 0.588 0.282 1
O1 0.014 0.883 0.693 1
O2 0.019 0.676 0.189 1
O3 0.042 0.348 0.105 1
O4 0.044 0.188 0.606 1
O5 0.131 0.155 0.263 1
O6 0.134 0.292 0.761 1
O7 0.144 0.010 0.781 1
O8 0.145 0.421 0.277 1
O9 0.223 0.435 0.873 1
O10 0.226 0.917 0.369 1
O11 0.229 0.464 0.689 1
O12 0.229 0.884 0.189 1
O13 0.231 0.435 0.509 1
O14 0.231 0.915 0.007 1
O15 0.309 0.934 0.601 1
O16 0.316 0.337 0.098 1
O17 0.331 0.054 0.115 1
O18 0.342 0.190 0.612 1
O19 0.413 0.163 0.274 1
O20 0.415 0.004 0.773 1
O21 0.438 0.465 0.189 1
O22 0.439 0.678 0.687 1
O23 0.464 0.686 0.505 1
O24 0.465 0.430 0.369 1
O25 0.470 0.441 0.009 1
O26 0.470 0.674 0.869 1
O27 0.484 0.757 0.100 1
O28 0.486 0.337 0.603 1
O29 0.557 0.860 0.275 1
O30 0.563 0.012 0.419 1
O31 0.565 0.590 0.280 1
O32 0.566 0.155 0.763 1
O33 0.567 0.009 0.918 1
O34 0.568 0.422 0.774 1
O35 0.602 0.789 0.613 1
O36 0.613 0.199 0.116 1
O37 0.706 0.293 0.262 1
O38 0.706 0.581 0.761 1
O39 0.709 0.011 0.266 1
O40 0.718 0.860 0.771 1
O41 0.742 0.487 0.105 1
O42 0.745 0.053 0.612 1
O43 0.749 0.778 0.115 1
O44 0.750 0.337 0.614 1
O45 0.845 0.152 0.761 1
O46 0.847 0.578 0.261 1
O47 0.890 0.760 0.598 1
O48 0.892 0.932 0.101 1
O49 0.893 0.338 0.459 1
O50 0.898 0.334 0.958 1
O51 0.899 0.188 0.109 1
O52 0.900 0.488 0.605 1
O53 0.972 0.018 0.273 1
O54 0.976 0.592 0.777 1
O55 0.983 0.919 0.873 1
O56 0.988 0.669 0.373 1
O57 0.990 0.679 0.008 1
O58 0.999 0.913 0.511 1
# formation energy	-2.616	eV per atom
# polymorph energy (0 for the lowest one)	5	meV/atom
# crystal system	triclinic
# SG	P1 (1)
# theoretical density	2.6	g cm⁻³

***

[4]
# Li5V3P8O29 (GGA+U, relaxed)
data_Li5V3P8O29
_chemical_formula_sum 'Li10 V6 P16 O58'
_symmetry_space_group_name_H-M 'P 1'
_symmetry_Int_Tables_number 1
_symmetry_space_group_name_Hall 'P 1'
_cell_length_a 9.767
_cell_length_b 9.782
_cell_length_c 14.071
_cell_angle_alpha 89.81
_cell_angle_beta 89.97
_cell_angle_gamma 60.22
loop_
_atom_site_label
_atom_site_fract_x
_atom_site_fract_y
_atom_site_fract_z
_atom_site_occupancy
Li1 0.000 0.000 0.000 1
Li2 0.004 0.554 0.497 1
Li3 0.080 0.297 0.934 1
Li4 0.190 0.908 0.376 1
Li5 0.325 0.325 0.377 1
Li6 0.332 0.901 0.882 1
Li7 0.419 0.001 0.495 1
Li8 0.431 0.136 0.000 1
Li9 0.762 0.333 0.881 1
Li10 0.874 0.147 0.497 1
V1 0.097 0.795 0.185 1
V2 0.101 0.660 0.692 1
V3 0.532 0.231 0.191 1
V4 0.535 0.792 0.690 1
V5 0.666 0.232 0.688 1
V6 0.672 0.660 0.187 1
P1 0.011 0.549 0.280 1
P2 0.012 0.002 0.780 1
P3 0.184 0.455 0.097 1
P4 0.188 0.911 0.598 1
P5 0.329 0.318 0.599 1
P6 0.329 0.914 0.097 1
P7 0.414 0.140 0.782 1
P8 0.418 0.997 0.280 1
P9 0.431 0.568 0.307 1
P10 0.433 0.565 0.810 1
P11 0.759 0.900 0.066 1
P12 0.766 0.896 0.570 1
P13 0.784 0.460 0.594 1
P14 0.785 0.318 0.099 1
P15 0.871 0.139 0.280 1
P16 0.875 0.538 0.780 1
O1 0.002 0.853 0.766 1
O2 0.013 0.571 0.775 1
O3 0.018 0.972 0.275 1
O4 0.095 0.476 0.371 1
O5 0.097 0.005 0.869 1
O6 0.101 0.023 0.688 1
O7 0.101 0.437 0.014 1
O8 0.102 0.991 0.508 1
O9 0.107 0.434 0.194 1
O10 0.181 0.482 0.599 1
O11 0.182 0.893 0.096 1
O12 0.183 0.612 0.105 1
O13 0.195 0.753 0.615 1
O14 0.283 0.718 0.265 1
O15 0.293 0.554 0.766 1
O16 0.306 0.021 0.190 1
O17 0.307 0.228 0.689 1
O18 0.324 0.214 0.871 1
O19 0.329 0.003 0.009 1
O20 0.339 0.987 0.370 1
O21 0.344 0.228 0.509 1
O22 0.356 0.892 0.599 1
O23 0.357 0.314 0.102 1
O24 0.424 0.721 0.763 1
O25 0.428 0.417 0.273 1
O26 0.432 0.576 0.413 1
O27 0.432 0.588 0.915 1
O28 0.433 0.147 0.281 1
O29 0.438 0.969 0.775 1
O30 0.479 0.330 0.618 1
O31 0.483 0.758 0.111 1
O32 0.570 0.139 0.769 1
O33 0.577 0.848 0.262 1
O34 0.578 0.567 0.259 1
O35 0.590 0.420 0.774 1
O36 0.606 0.043 0.107 1
O37 0.615 0.898 0.617 1
O38 0.623 0.612 0.616 1
O39 0.628 0.322 0.109 1
O40 0.716 0.695 0.768 1
O41 0.719 0.130 0.259 1
O42 0.751 0.900 0.464 1
O43 0.752 0.898 0.960 1
O44 0.761 0.315 0.596 1
O45 0.762 0.487 0.103 1
O46 0.766 0.749 0.115 1
O47 0.771 0.045 0.608 1
O48 0.844 0.151 0.777 1
O49 0.844 0.568 0.274 1
O50 0.862 0.219 0.371 1
O51 0.863 0.474 0.508 1
O52 0.874 0.236 0.009 1
O53 0.884 0.441 0.864 1
O54 0.892 0.436 0.687 1
O55 0.893 0.229 0.190 1
O56 0.907 0.909 0.103 1
O57 0.914 0.743 0.607 1
O58 0.997 0.711 0.261 1
# formation energy	-2.615	eV per atom
# polymorph energy (0 for the lowest one)	6	meV/atom
# crystal system	triclinic
# SG	P1 (1)
# theoretical density	2.6	g cm⁻³

***

[5]
# Li7V3P8O29 (GGA+U, relaxed)
data_Li7V3P8O29
_chemical_formula_sum 'Li14 V6 P16 O58'
_symmetry_space_group_name_H-M 'P 1'
_symmetry_Int_Tables_number 1
_symmetry_space_group_name_Hall 'P 1'
_cell_length_a 9.818
_cell_length_b 9.843
_cell_length_c 13.874
_cell_angle_alpha 89.81
_cell_angle_beta 89.90
_cell_angle_gamma 60.16
loop_
_atom_site_label
_atom_site_fract_x
_atom_site_fract_y
_atom_site_fract_z
_atom_site_occupancy
Li1 0.000 0.000 0.000 1
Li2 0.001 0.566 0.555 1
Li3 0.017 0.423 0.055 1
Li4 0.102 0.232 0.678 1
Li5 0.116 0.642 0.180 1
Li6 0.240 0.665 0.675 1
Li7 0.248 0.102 0.181 1
Li8 0.339 0.337 0.613 1
Li9 0.433 0.554 0.058 1
Li10 0.438 0.994 0.552 1
Li11 0.568 0.005 0.059 1
Li12 0.573 0.430 0.553 1
Li13 0.657 0.239 0.179 1
Li14 0.674 0.094 0.676 1
V1 0.339 0.894 0.367 1
V2 0.341 0.762 0.866 1
V3 0.772 0.330 0.366 1
V4 0.774 0.892 0.865 1
V5 0.902 0.764 0.367 1
V6 0.906 0.327 0.865 1
P1 0.002 0.997 0.243 1
P2 0.007 0.992 0.742 1
P3 0.020 0.418 0.274 1
P4 0.026 0.556 0.773 1
P5 0.110 0.648 0.959 1
P6 0.111 0.242 0.460 1
P7 0.251 0.097 0.960 1
P8 0.251 0.640 0.459 1
P9 0.425 0.015 0.773 1
P10 0.428 0.560 0.275 1
P11 0.566 0.416 0.773 1
P12 0.570 0.011 0.273 1
P13 0.654 0.101 0.458 1
P14 0.658 0.236 0.959 1
P15 0.673 0.663 0.989 1
P16 0.674 0.661 0.490 1
O1 0.001 0.983 0.635 1
O2 0.005 0.580 0.273 1
O3 0.006 0.844 0.286 1
O4 0.011 0.409 0.773 1
O5 0.018 0.135 0.779 1
O6 0.086 0.656 0.458 1
O7 0.090 0.246 0.963 1
O8 0.094 0.571 0.049 1
O9 0.098 0.327 0.184 1
O10 0.109 0.334 0.549 1
O11 0.115 0.558 0.684 1
O12 0.130 0.329 0.366 1
O13 0.130 0.541 0.867 1
O14 0.148 0.003 0.278 1
O15 0.153 0.838 0.785 1
O16 0.226 0.954 0.941 1
O17 0.244 0.797 0.451 1
O18 0.256 0.080 0.461 1
O19 0.259 0.663 0.961 1
O20 0.336 0.106 0.684 1
O21 0.339 0.534 0.366 1
O22 0.339 0.544 0.549 1
O23 0.340 0.117 0.868 1
O24 0.341 0.564 0.185 1
O25 0.347 0.074 0.049 1
O26 0.418 0.580 0.775 1
O27 0.420 0.001 0.273 1
O28 0.428 0.858 0.783 1
O29 0.445 0.703 0.290 1
O30 0.522 0.662 0.945 1
O31 0.531 0.816 0.455 1
O32 0.548 0.123 0.365 1
O33 0.549 0.327 0.868 1
O34 0.559 0.328 0.684 1
O35 0.563 0.105 0.548 1
O36 0.580 0.331 0.048 1
O37 0.587 0.088 0.183 1
O38 0.591 0.994 0.773 1
O39 0.594 0.408 0.276 1
O40 0.659 0.679 0.096 1
O41 0.663 0.517 0.449 1
O42 0.667 0.075 0.959 1
O43 0.672 0.813 0.943 1
O44 0.675 0.247 0.458 1
O45 0.689 0.651 0.598 1
O46 0.716 0.423 0.783 1
O47 0.717 0.850 0.291 1
O48 0.812 0.950 0.447 1
O49 0.823 0.516 0.953 1
O50 0.825 0.209 0.944 1
O51 0.829 0.654 0.446 1
O52 0.849 0.143 0.282 1
O53 0.853 0.000 0.787 1
O54 0.859 0.429 0.292 1
O55 0.868 0.708 0.785 1
O56 0.957 0.239 0.447 1
O57 0.966 0.814 0.943 1
O58 0.997 0.991 0.134 1
# formation energy	-2.682	eV per atom
# polymorph energy (0 for the lowest one)	10	meV/atom
# crystal system	triclinic
# SG	P1 (1)
# theoretical density	2.6	g cm⁻³

***

[6]
# LiVP2O7 (GGA+U, relaxed)
data_LiVP2O7
_chemical_formula_sum 'Li4 V4 P8 O28'
_symmetry_space_group_name_H-M 'P 1'
_symmetry_Int_Tables_number 1
_symmetry_space_group_name_Hall 'P 1'
_cell_length_a 7.189
_cell_length_b 8.110
_cell_length_c 9.611
_cell_angle_alpha 90.00
_cell_angle_beta 110.81
_cell_angle_gamma 90.00
loop_
_atom_site_label
_atom_site_fract_x
_atom_site_fract_y
_atom_site_fract_z
_atom_site_occupancy
Li1 0.199 0.028 0.223 1
Li2 0.199 0.472 0.723 1
Li3 0.801 0.528 0.277 1
Li4 0.801 0.972 0.777 1
V1 0.239 0.005 0.751 1
V2 0.239 0.495 0.251 1
V3 0.761 0.505 0.749 1
V4 0.761 0.995 0.249 1
P1 0.169 0.710 0.950 1
P2 0.169 0.790 0.450 1
P3 0.414 0.238 0.045 1
P4 0.414 0.262 0.545 1
P5 0.586 0.738 0.455 1
P6 0.586 0.762 0.955 1
P7 0.831 0.210 0.550 1
P8 0.831 0.290 0.050 1
O1 0.043 0.579 0.842 1
O2 0.043 0.921 0.342 1
O3 0.113 0.613 0.393 1
O4 0.113 0.887 0.893 1
O5 0.188 0.695 0.113 1
O6 0.188 0.805 0.613 1
O7 0.295 0.139 0.595 1
O8 0.295 0.361 0.095 1
O9 0.313 0.208 0.878 1
O10 0.313 0.292 0.378 1
O11 0.380 0.665 0.934 1
O12 0.380 0.835 0.434 1
O13 0.468 0.081 0.142 1
O14 0.468 0.419 0.642 1
O15 0.532 0.581 0.358 1
O16 0.532 0.919 0.858 1
O17 0.620 0.165 0.566 1
O18 0.620 0.335 0.066 1
O19 0.687 0.708 0.622 1
O20 0.687 0.792 0.122 1
O21 0.705 0.639 0.905 1
O22 0.705 0.861 0.405 1
O23 0.812 0.195 0.387 1
O24 0.812 0.305 0.887 1
O25 0.887 0.113 0.107 1
O26 0.887 0.387 0.607 1
O27 0.957 0.079 0.658 1
O28 0.957 0.421 0.158 1
# formation energy	-2.701	eV per atom
# crystal system	monoclinic
# SG	P2_1/c (14)
# theoretical density	2.9	g cm⁻³

***

no.,total energy (eV/atom)
1,-7.032
2,-6.853
3,-7.029
4,-7.028
5,-6.989
6,-7.242